MgPd3, relaxed, DFT PBE-GGA; M_tot = 0.0000 μB per atom; crystal system = trigonal; total energy = -0.3373 Ry per atom; DFT formation energy = -304 meV per atom; space group = R-3m (166)
1.0
2.8724 0.0000 0.0000
-1.4362 2.4876 0.0000
0.0000 0.0000 26.3936
Mg Pd
3 9
Cartesian
0.0000 0.0000 0.0000
0.0000 1.6584 17.5958
1.4362 0.8292 8.7979
0.0000 0.0000 6.6870
0.0000 0.0000 13.1968
0.0000 0.0000 19.7067
0.0000 1.6584 4.3989
0.0000 1.6584 10.9088
0.0000 1.6584 24.2828
1.4362 0.8292 2.1109
1.4362 0.8292 15.4849
1.4362 0.8292 21.9947